[1]
The following is a DFT calculation (PBE-GGA) of an optimized crystal structure of YGe2Ir.

symmetry: Immm, No. 71
density: 9.16 Mg/m³
energy relative to the elements: -3.2 eV per formula unit

Cell lengths 9.4719, 9.4719, 9.4719 Å; angles 153.79, 123.85, 62.98 degrees
Fractional coordinates of all 16 atoms:
Y1 0.2054 0.2054 0.0000
Y2 0.2387 0.0000 0.2387
Y3 0.7613 0.0000 0.7613
Y4 0.7946 0.7946 0.0000
Ge1 0.0770 0.5770 0.5000
Ge2 0.1467 0.7996 0.3471
Ge3 0.4218 0.4218 0.0000
Ge4 0.4525 0.7996 0.6529
Ge5 0.5475 0.2004 0.3471
Ge6 0.5782 0.5782 0.0000
Ge7 0.8533 0.2004 0.6529
Ge8 0.9230 0.4230 0.5000
Ir1 0.1049 0.3544 0.7506
Ir2 0.3962 0.6456 0.7506
Ir3 0.6038 0.3544 0.2494
Ir4 0.8951 0.6456 0.2494

=====

[2]
The following is a DFT calculation (PBE-GGA) of an optimized crystal structure of Y5Ge10Ir4.

symmetry: P4/mbm, No. 127
density: 8.69 Mg/m³
energy relative to the elements: -14.9 eV per formula unit

Cell lengths 13.0394, 13.0394, 4.3590 Å; angles 90.00, 90.00, 90.00 degrees
Fractional coordinates of all 38 atoms:
Y1 0.0000 0.0000 0.0000
Y2 0.1160 0.3840 0.5000
Y3 0.1743 0.6743 0.5000
Y4 0.3257 0.1743 0.5000
Y5 0.3840 0.8840 0.5000
Y6 0.5000 0.5000 0.0000
Y7 0.6160 0.1160 0.5000
Y8 0.6743 0.8257 0.5000
Y9 0.8257 0.3257 0.5000
Y10 0.8840 0.6160 0.5000
Ge1 0.0086 0.8431 0.5000
Ge2 0.0665 0.5665 0.0000
Ge3 0.1569 0.0086 0.5000
Ge4 0.1629 0.2001 0.0000
Ge5 0.2001 0.8371 0.0000
Ge6 0.2999 0.3371 0.0000
Ge7 0.3371 0.7001 0.0000
Ge8 0.3431 0.5086 0.5000
Ge9 0.4335 0.0665 0.0000
Ge10 0.4914 0.3431 0.5000
Ge11 0.5086 0.6569 0.5000
Ge12 0.5665 0.9335 0.0000
Ge13 0.6569 0.4914 0.5000
Ge14 0.6629 0.2999 0.0000
Ge15 0.7001 0.6629 0.0000
Ge16 0.7999 0.1629 0.0000
Ge17 0.8371 0.7999 0.0000
Ge18 0.8431 0.9914 0.5000
Ge19 0.9335 0.4335 0.0000
Ge20 0.9914 0.1569 0.5000
Ir1 0.0212 0.7540 0.0000
Ir2 0.2460 0.0212 0.0000
Ir3 0.2540 0.5212 0.0000
Ir4 0.4788 0.2540 0.0000
Ir5 0.5212 0.7460 0.0000
Ir6 0.7460 0.4788 0.0000
Ir7 0.7540 0.9788 0.0000
Ir8 0.9788 0.2460 0.0000

=====

[3]
The following is a DFT calculation (PBE-GGA) of an optimized crystal structure of Y2Ge5Ir3.

symmetry: Ibam, No. 72
density: 10.09 Mg/m³
energy relative to the elements: -7.2 eV per formula unit

Cell lengths 8.3968, 8.3968, 8.3968 Å; angles 104.22, 90.79, 137.78 degrees
Fractional coordinates of all 20 atoms:
Y1 0.1341 0.2260 0.3602
Y2 0.3659 0.7260 0.0919
Y3 0.6341 0.2740 0.9081
Y4 0.8659 0.7740 0.6398
Ge1 0.0265 0.7500 0.2765
Ge2 0.0981 0.6623 0.7604
Ge3 0.2500 0.2500 0.0000
Ge4 0.4019 0.1623 0.5643
Ge5 0.4735 0.7500 0.7235
Ge6 0.5265 0.2500 0.2765
Ge7 0.5981 0.8377 0.4357
Ge8 0.7500 0.7500 0.0000
Ge9 0.9019 0.3377 0.2396
Ge10 0.9735 0.2500 0.7235
Ir1 0.1420 0.8887 0.0307
Ir2 0.2500 0.7500 0.5000
Ir3 0.3580 0.3887 0.7467
Ir4 0.6420 0.6113 0.2533
Ir5 0.7500 0.2500 0.5000
Ir6 0.8580 0.1113 0.9693

=====

[4]
The following is a DFT calculation (PBE-GGA) of an optimized crystal structure of ZrGeIr.

symmetry: Pnma, No. 62
density: 11.51 Mg/m³
energy relative to the elements: -2.7 eV per formula unit

Cell lengths 6.6258, 4.0785, 7.6032 Å; angles 90.00, 90.00, 90.00 degrees
Fractional coordinates of all 12 atoms:
Zr1 0.0215 0.2500 0.1857
Zr2 0.4785 0.7500 0.6857
Zr3 0.5215 0.2500 0.3143
Zr4 0.9785 0.7500 0.8143
Ge1 0.2302 0.7500 0.3796
Ge2 0.2698 0.2500 0.8796
Ge3 0.7302 0.7500 0.1204
Ge4 0.7698 0.2500 0.6204
Ir1 0.1520 0.2500 0.5620
Ir2 0.3480 0.7500 0.0620
Ir3 0.6520 0.2500 0.9380
Ir4 0.8480 0.7500 0.4380

=====

[5]
The following is a DFT calculation (PBE-GGA) of an optimized crystal structure of K3Ge17.

symmetry: Fd-3m, No. 227
density: 4.39 Mg/m³
energy relative to the elements: -1.7 eV per formula unit

Cell lengths 11.3111, 11.3111, 11.3111 Å; angles 60.00, 60.00, 60.00 degrees
Fractional coordinates of all 40 atoms:
K1 0.0000 0.0000 0.0000
K2 0.0000 0.0000 0.5000
K3 0.0000 0.5000 0.0000
K4 0.3750 0.3750 0.3750
K5 0.5000 0.0000 0.0000
K6 0.6250 0.6250 0.6250
Ge1 0.0077 0.2376 0.6274
Ge2 0.0077 0.6274 0.2376
Ge3 0.0077 0.6274 0.6274
Ge4 0.1250 0.1250 0.1250
Ge5 0.1590 0.7803 0.7803
Ge6 0.2197 0.2197 0.2197
Ge7 0.2197 0.2197 0.8410
Ge8 0.2197 0.8410 0.2197
Ge9 0.2376 0.0077 0.6274
Ge10 0.2376 0.6274 0.0077
Ge11 0.2376 0.6274 0.6274
Ge12 0.3726 0.3726 0.7624
Ge13 0.3726 0.3726 0.9923
Ge14 0.3726 0.7624 0.3726
Ge15 0.3726 0.7624 0.9923
Ge16 0.3726 0.9923 0.3726
Ge17 0.3726 0.9923 0.7624
Ge18 0.6274 0.0077 0.2376
Ge19 0.6274 0.0077 0.6274
Ge20 0.6274 0.2376 0.0077
Ge21 0.6274 0.2376 0.6274
Ge22 0.6274 0.6274 0.0077
Ge23 0.6274 0.6274 0.2376
Ge24 0.7624 0.3726 0.3726
Ge25 0.7624 0.3726 0.9923
Ge26 0.7624 0.9923 0.3726
Ge27 0.7803 0.1590 0.7803
Ge28 0.7803 0.7803 0.1590
Ge29 0.7803 0.7803 0.7803
Ge30 0.8410 0.2197 0.2197
Ge31 0.8750 0.8750 0.8750
Ge32 0.9923 0.3726 0.3726
Ge33 0.9923 0.3726 0.7624
Ge34 0.9923 0.7624 0.3726

=====

[6]
The following is a DFT calculation (PBE-GGA) of an optimized crystal structure of K4Ge23.

symmetry: Pm-3n, No. 223
density: 4.43 Mg/m³
energy relative to the elements: -2.2 eV per formula unit

Cell lengths 11.1033, 11.1033, 11.1033 Å; angles 90.00, 90.00, 90.00 degrees
Fractional coordinates of all 54 atoms:
K1 0.0000 0.0000 0.0000
K2 0.0000 0.2500 0.5000
K3 0.0000 0.7500 0.5000
K4 0.2500 0.5000 0.0000
K5 0.5000 0.0000 0.2500
K6 0.5000 0.0000 0.7500
K7 0.5000 0.5000 0.5000
K8 0.7500 0.5000 0.0000
Ge1 0.0000 0.3063 0.1190
Ge2 0.0000 0.3063 0.8810
Ge3 0.0000 0.5000 0.2500
Ge4 0.0000 0.5000 0.7500
Ge5 0.0000 0.6937 0.1190
Ge6 0.0000 0.6937 0.8810
Ge7 0.1190 0.0000 0.3063
Ge8 0.1190 0.0000 0.6937
Ge9 0.1845 0.1845 0.1845
Ge10 0.1845 0.1845 0.8155
Ge11 0.1845 0.8155 0.1845
Ge12 0.1845 0.8155 0.8155
Ge13 0.1937 0.5000 0.3810
Ge14 0.1937 0.5000 0.6190
Ge15 0.2500 0.0000 0.5000
Ge16 0.3063 0.1190 0.0000
Ge17 0.3063 0.8810 0.0000
Ge18 0.3155 0.3155 0.3155
Ge19 0.3155 0.3155 0.6845
Ge20 0.3155 0.6845 0.3155
Ge21 0.3155 0.6845 0.6845
Ge22 0.3810 0.1937 0.5000
Ge23 0.3810 0.8063 0.5000
Ge24 0.5000 0.2500 0.0000
Ge25 0.5000 0.3810 0.1937
Ge26 0.5000 0.3810 0.8063
Ge27 0.5000 0.6190 0.1937
Ge28 0.5000 0.6190 0.8063
Ge29 0.5000 0.7500 0.0000
Ge30 0.6190 0.1937 0.5000
Ge31 0.6190 0.8063 0.5000
Ge32 0.6845 0.3155 0.3155
Ge33 0.6845 0.3155 0.6845
Ge34 0.6845 0.6845 0.3155
Ge35 0.6845 0.6845 0.6845
Ge36 0.6937 0.1190 0.0000
Ge37 0.6937 0.8810 0.0000
Ge38 0.7500 0.0000 0.5000
Ge39 0.8063 0.5000 0.3810
Ge40 0.8063 0.5000 0.6190
Ge41 0.8155 0.1845 0.1845
Ge42 0.8155 0.1845 0.8155
Ge43 0.8155 0.8155 0.1845
Ge44 0.8155 0.8155 0.8155
Ge45 0.8810 0.0000 0.3063
Ge46 0.8810 0.0000 0.6937

=====

[7]
The following is a DFT calculation (PBE-GGA) of an optimized crystal structure of K3Ge.

symmetry: Fm-3m, No. 225
density: 1.97 Mg/m³
energy relative to the elements: 0.5 eV per formula unit

Cell lengths 6.0967, 6.0967, 6.0967 Å; angles 60.00, 60.00, 60.00 degrees
Fractional coordinates of all 4 atoms:
K1 0.0000 0.0000 0.0000
K2 0.2500 0.2500 0.2500
K3 0.7500 0.7500 0.7500
Ge1 0.5000 0.5000 0.5000

=====

[8]
The following is a DFT calculation (PBE-GGA) of an optimized crystal structure of KLaGeSe4.

symmetry: P2_1, No. 4
density: 4.30 Mg/m³
energy relative to the elements: -10.3 eV per formula unit
piezoelectric modulus e_max: 0.3 C/m²

Cell lengths 6.9997, 7.1258, 9.2011 Å; angles 90.00, 107.64, 90.00 degrees
Fractional coordinates of all 14 atoms:
K1 0.2420 0.0000 0.4366
K2 0.7580 0.5000 0.5634
La1 0.2669 0.0113 0.9459
La2 0.7331 0.5113 0.0541
Ge1 0.2826 0.4793 0.1828
Ge2 0.7174 0.9793 0.8172
Se1 0.0817 0.4261 0.9254
Se2 0.0821 0.4758 0.3468
Se3 0.4711 0.7362 0.7695
Se4 0.4874 0.7532 0.2164
Se5 0.5126 0.2532 0.7836
Se6 0.5289 0.2362 0.2305
Se7 0.9183 0.9261 0.0746
Se8 0.9179 0.9758 0.6532

=====

[9]
The following is a DFT calculation (PBE-GGA) of an optimized crystal structure of K3LiGe4.

symmetry: Pnma, No. 62
density: 2.82 Mg/m³
energy relative to the elements: -2.1 eV per formula unit

Cell lengths 7.8115, 9.9876, 12.5396 Å; angles 90.00, 90.00, 90.00 degrees
Fractional coordinates of all 32 atoms:
K1 0.1547 0.0556 0.1935
K2 0.1547 0.4444 0.1935
K3 0.1556 0.2500 0.8996
K4 0.3444 0.7500 0.3996
K5 0.3453 0.5556 0.6935
K6 0.3453 0.9444 0.6935
K7 0.6547 0.0556 0.3065
K8 0.6547 0.4444 0.3065
K9 0.6556 0.2500 0.6004
K10 0.8444 0.7500 0.1004
K11 0.8453 0.5556 0.8065
K12 0.8453 0.9444 0.8065
Li1 0.0000 0.0000 0.5000
Li2 0.0000 0.5000 0.5000
Li3 0.5000 0.0000 0.0000
Li4 0.5000 0.5000 0.0000
Ge1 0.0028 0.2500 0.4138
Ge2 0.1367 0.2500 0.6068
Ge3 0.2093 0.6226 0.9507
Ge4 0.2093 0.8774 0.9507
Ge5 0.2907 0.1226 0.4507
Ge6 0.2907 0.3774 0.4507
Ge7 0.3633 0.7500 0.1068
Ge8 0.4972 0.7500 0.9138
Ge9 0.5028 0.2500 0.0862
Ge10 0.6367 0.2500 0.8932
Ge11 0.7093 0.6226 0.5493
Ge12 0.7093 0.8774 0.5493
Ge13 0.7907 0.1226 0.0493
Ge14 0.7907 0.3774 0.0493
Ge15 0.8633 0.7500 0.3932
Ge16 0.9972 0.7500 0.5862

=====

[10]
The following is a DFT calculation (PBE-GGA) of an optimized crystal structure of KLi3GeO4.

symmetry: P-1, No. 2
density: 3.03 Mg/m³
energy relative to the elements: -20.1 eV per formula unit

Cell lengths 5.9298, 7.5779, 10.0512 Å; angles 83.60, 76.54, 79.76 degrees
Fractional coordinates of all 36 atoms:
K1 0.0039 0.3829 0.3832
K2 0.0418 0.1401 0.1278
K3 0.9582 0.8599 0.8722
K4 0.9961 0.6171 0.6168
Li1 0.1868 0.4495 0.8966
Li2 0.1931 0.9432 0.3956
Li3 0.1948 0.1755 0.6461
Li4 0.4293 0.0477 0.8761
Li5 0.4635 0.5729 0.3722
Li6 0.4778 0.3233 0.1132
Li7 0.5222 0.6767 0.8868
Li8 0.5365 0.4271 0.6278
Li9 0.5707 0.9523 0.1239
Li10 0.8052 0.8245 0.3539
Li11 0.8069 0.0568 0.6044
Li12 0.8132 0.5505 0.1034
Ge1 0.1661 0.7065 0.1482
Ge2 0.4413 0.7905 0.6345
Ge3 0.5587 0.2095 0.3655
Ge4 0.8339 0.2935 0.8518
O1 0.1382 0.2044 0.8498
O2 0.1786 0.7112 0.3238
O3 0.1898 0.9338 0.5934
O4 0.1938 0.4874 0.0900
O5 0.3460 0.6100 0.7565
O6 0.3629 0.8377 0.0353
O7 0.3824 0.3259 0.5083
O8 0.3955 0.1046 0.2775
O9 0.6045 0.8954 0.7225
O10 0.6176 0.6741 0.4917
O11 0.6371 0.1623 0.9647
O12 0.6540 0.3900 0.2435
O13 0.8062 0.5126 0.9100
O14 0.8102 0.0662 0.4066
O15 0.8214 0.2888 0.6762
O16 0.8618 0.7956 0.1502

=====

[11]
The following is a DFT calculation (PBE-GGA) of an optimized crystal structure of KGeN.

symmetry: R3m, No. 160
density: 3.99 Mg/m³
energy relative to the elements: -0.3 eV per formula unit

Cell lengths 6.1507, 6.1507, 6.1507 Å; angles 30.25, 30.25, 30.25 degrees
Fractional coordinates of all 3 atoms:
K1 0.0000 0.0000 0.0000
Ge1 0.4997 0.4997 0.4997
N1 0.2187 0.2187 0.2187

=====

[12]
The following is a DFT calculation (PBE-GGA) of an optimized crystal structure of KGeN.

symmetry: P6_3mc, No. 186
density: 3.98 Mg/m³
energy relative to the elements: -0.3 eV per formula unit

Cell lengths 3.2125, 3.2125, 11.7304 Å; angles 90.00, 90.00, 120.00 degrees
Fractional coordinates of all 6 atoms:
K1 0.3333 0.6667 0.0000
K2 0.6667 0.3333 0.5000
Ge1 0.0000 0.0000 0.2497
Ge2 0.0000 0.0000 0.7497
N1 0.3333 0.6667 0.3282
N2 0.6667 0.3333 0.8282

=====

[13]
The following is a DFT calculation (PBE-GGA) of an optimized crystal structure of K7NaGe8.

symmetry: Pa-3, No. 205
density: 2.68 Mg/m³
energy relative to the elements: -3.5 eV per formula unit

Cell lengths 12.9518, 12.9518, 12.9518 Å; angles 90.00, 90.00, 90.00 degrees
Fractional coordinates of all 64 atoms:
K1 0.0000 0.0000 0.0000
K2 0.0000 0.5000 0.5000
K3 0.0426 0.2264 0.3146
K4 0.0426 0.2736 0.8146
K5 0.1853 0.5426 0.2264
K6 0.1853 0.9574 0.7264
K7 0.2264 0.1853 0.5426
K8 0.2264 0.3146 0.0426
K9 0.2736 0.6854 0.5426
K10 0.2736 0.8146 0.0426
K11 0.3146 0.0426 0.2264
K12 0.3146 0.4574 0.7264
K13 0.4574 0.7264 0.3146
K14 0.4574 0.7736 0.8146
K15 0.5000 0.0000 0.5000
K16 0.5000 0.5000 0.0000
K17 0.5426 0.2264 0.1853
K18 0.5426 0.2736 0.6854
K19 0.6854 0.5426 0.2736
K20 0.6854 0.9574 0.7736
K21 0.7264 0.1853 0.9574
K22 0.7264 0.3146 0.4574
K23 0.7736 0.6854 0.9574
K24 0.7736 0.8146 0.4574
K25 0.8146 0.0426 0.2736
K26 0.8146 0.4574 0.7736
K27 0.9574 0.7264 0.1853
K28 0.9574 0.7736 0.6854
Na1 0.0000 0.0000 0.5000
Na2 0.0000 0.5000 0.0000
Na3 0.5000 0.0000 0.0000
Na4 0.5000 0.5000 0.5000
Ge1 0.0552 0.7088 0.9264
Ge2 0.0552 0.7912 0.4264
Ge3 0.0736 0.5552 0.7912
Ge4 0.0736 0.9448 0.2912
Ge5 0.2043 0.7043 0.7957
Ge6 0.2043 0.7957 0.2957
Ge7 0.2088 0.5736 0.9448
Ge8 0.2088 0.9264 0.4448
Ge9 0.2912 0.0736 0.9448
Ge10 0.2912 0.4264 0.4448
Ge11 0.2957 0.2043 0.7957
Ge12 0.2957 0.2957 0.2957
Ge13 0.4264 0.0552 0.7912
Ge14 0.4264 0.4448 0.2912
Ge15 0.4448 0.2088 0.9264
Ge16 0.4448 0.2912 0.4264
Ge17 0.5552 0.7088 0.5736
Ge18 0.5552 0.7912 0.0736
Ge19 0.5736 0.5552 0.7088
Ge20 0.5736 0.9448 0.2088
Ge21 0.7043 0.7043 0.7043
Ge22 0.7043 0.7957 0.2043
Ge23 0.7088 0.5736 0.5552
Ge24 0.7088 0.9264 0.0552
Ge25 0.7912 0.0736 0.5552
Ge26 0.7912 0.4264 0.0552
Ge27 0.7957 0.2043 0.7043
Ge28 0.7957 0.2957 0.2043
Ge29 0.9264 0.0552 0.7088
Ge30 0.9264 0.4448 0.2088
Ge31 0.9448 0.2088 0.5736
Ge32 0.9448 0.2912 0.0736